The following is a DFT calculation (PBE with a Hubbard U) of Li8CoO5F after structural relaxation.

Cell lengths 5.4413, 5.7675, 8.6226 Å; angles 98.24, 95.17, 92.52 degrees
With the nearest neighbours (Å) after each atom.
Fractional coordinates of all 30 atoms:
Li  0.0000  0.0000  0.0000  4 O 1.95-2.10
Li  0.0121  0.3553  0.3600  4 O 1.93-2.12
Li  0.0333  0.6775  0.6654  3 O 1.85-1.97, 1 F 1.91
Li  0.1576  0.6213  0.9317  3 O 2.01-2.02
Li  0.1769  0.2937  0.6714  3 O 2.00-2.10, 1 F 2.16
Li  0.3270  0.5321  0.2341  3 O 1.90-2.02, 1 F 1.91
Li  0.3379  0.2049  0.9228  3 O 1.89-2.05, 1 F 1.91
Li  0.3671  0.8946  0.5784  3 O 1.94-2.06, 1 F 1.98
Li  0.4756  0.5092  0.4917  4 O 1.90-2.10
Li  0.5078  0.8445  0.8547  3 O 1.90-1.93
Li  0.5390  0.1643  0.1713  3 O 1.89-1.94, 1 F 1.92
Li  0.6524  0.1290  0.4371  3 O 1.99-2.05
Li  0.6654  0.7846  0.1544  4 O 2.06-2.19, 1 F 2.10
Li  0.8189  0.7183  0.4150  3 O 1.93-2.07, 1 F 1.94
Li  0.8358  0.0338  0.7482  3 O 1.89-2.00, 1 F 1.91
Li  0.8779  0.3904  0.0765  1 F 1.93, 2 O 1.93
Co  0.1825  0.9466  0.2676  4 O 1.90-2.06
Co  0.6860  0.4471  0.7530  4 O 1.89-2.08
O  0.0054  0.6475  0.2359  4 Li 1.90-2.12, 1 Co 1.91
O  0.0103  0.2907  0.8784  6 Li 1.89-2.10
O  0.3413  0.2468  0.3447  5 Li 1.90-2.02, 1 Co 1.90
O  0.3428  0.9210  0.0403  5 Li 1.89-2.05
O  0.3613  0.6057  0.6934  5 Li 1.85-2.06
O  0.4821  0.8018  0.3714  5 Li 1.93-2.10, 1 Co 2.06
O  0.5138  0.1511  0.7346  1 Co 1.89, 4 Li 1.91-2.10
O  0.8214  0.4390  0.5417  5 Li 1.89-2.07, 1 Co 2.02
O  0.8395  0.7415  0.8477  1 Co 1.90, 5 Li 1.93-2.01
O  0.8789  0.0938  0.2067  4 Li 1.92-2.06, 1 Co 1.95
F  0.0106  0.9534  0.5677  4 Li 1.91-1.98
F  0.5288  0.4391  0.0690  5 Li 1.91-2.10

Computed properties:
The space-group type is P1, No. 1. As for the formation enthalpy at 0 K: -2.055 eV/atom. The theoretical density is 2.66 Mg/m³. For the energy above the most stable polymorph in this dataset, the calculation gives 42.0 meV per atom. The magnetization comes out at 0.00 μB per atom.